1.
Li2BiAu: optimized geometry, PBE-GGA.

The structure in POSCAR format:
```
Li2BiAu
1.0
-3.561 -2.919 1.416
-4.293 1.837 1.184
-3.804 -0.725 -2.866
Au Li Bi
1 2 1
Direct
0.750 0.750 0.750
0.250 0.250 0.250
0.500 0.500 0.500
0.000 0.000 0.000
```

Results
calculated total energy	-3.185	eV per atom
energy of formation from the pure elements	-0.4392	eV per atom

---

2.
Li2BiAu: optimized geometry, PBE-GGA.

The structure in POSCAR format:
```
Li2BiAu
1.0
-3.702 -1.078 3.970
3.309 -4.361 0.804
3.116 3.054 3.735
Li Au Bi
4 2 2
Direct
0.480 0.124 0.250
0.520 0.876 0.750
0.124 0.480 0.250
0.876 0.520 0.750
0.000 0.000 0.000
0.000 0.000 0.500
0.664 0.664 0.250
0.336 0.336 0.750
```

Results
calculated total energy	-3.160	eV per atom
energy of formation from the pure elements	-0.4145	eV per atom

---

3.
Na2BiAu: optimized geometry, PBE-GGA.

The structure in POSCAR format:
```
Na2BiAu
1.0
-4.698 -2.856 2.701
4.573 -4.033 0.588
1.528 2.507 5.309
Na Au Bi
4 2 2
Direct
0.499 0.862 0.750
0.501 0.138 0.250
0.862 0.499 0.750
0.138 0.501 0.250
0.000 0.000 0.500
0.000 0.000 0.000
0.690 0.690 0.250
0.310 0.310 0.750
```

Results
calculated total energy	-2.826	eV per atom
energy of formation from the pure elements	-0.3737	eV per atom

---

4.
NaBi2AuO5: optimized geometry, PBE-GGA.

The structure in POSCAR format:
```
NaBi2AuO5
1.0
12.567 0.000 0.000
0.000 12.567 0.000
0.000 0.000 3.620
O Na Bi Au
20 4 8 4
Direct
0.339 0.996 0.500
0.504 0.161 0.500
0.661 0.004 0.500
0.386 0.384 0.500
0.161 0.496 0.500
0.004 0.339 0.500
0.496 0.839 0.500
0.839 0.504 0.500
0.614 0.616 0.500
0.884 0.886 0.500
0.288 0.212 0.000
0.712 0.788 0.000
0.616 0.386 0.500
0.116 0.114 0.500
0.886 0.116 0.500
0.788 0.288 0.000
0.212 0.712 0.000
0.114 0.884 0.500
0.384 0.614 0.500
0.996 0.661 0.500
0.699 0.199 0.500
0.301 0.801 0.500
0.199 0.301 0.500
0.801 0.699 0.500
0.768 0.950 0.000
0.050 0.768 0.000
0.950 0.232 0.000
0.268 0.550 0.000
0.550 0.732 0.000
0.232 0.050 0.000
0.450 0.268 0.000
0.732 0.450 0.000
0.000 0.500 0.500
0.000 0.000 0.500
0.500 0.500 0.500
0.500 0.000 0.500
```

Results
calculated total energy	-5.156	eV per atom
energy of formation from the pure elements	-1.4137	eV per atom

---

5.
Bi4Au2O9: optimized geometry, PBE-GGA.

The structure in POSCAR format:
```
Bi4Au2O9
1.0
-1.927 5.285 2.128
-6.407 0.179 -6.245
-21.719 -16.699 21.805
Bi Au O
32 16 72
Direct
0.726 0.080 0.896
0.749 0.929 0.024
0.774 0.080 0.396
0.771 0.103 0.153
0.727 0.382 0.230
0.773 0.382 0.730
0.226 0.920 0.604
0.251 0.071 0.976
0.271 0.397 0.153
0.749 0.429 0.476
0.271 0.897 0.347
0.726 0.580 0.604
0.226 0.420 0.896
0.771 0.603 0.347
0.751 0.929 0.524
0.774 0.580 0.104
0.273 0.118 0.730
0.274 0.420 0.396
0.274 0.920 0.104
0.727 0.882 0.270
0.249 0.571 0.024
0.249 0.071 0.476
0.751 0.429 0.976
0.729 0.603 0.847
0.227 0.618 0.270
0.229 0.897 0.847
0.773 0.882 0.770
0.273 0.618 0.770
0.251 0.571 0.524
0.729 0.103 0.653
0.227 0.118 0.230
0.229 0.397 0.653
0.569 0.257 0.818
0.099 0.248 0.060
0.431 0.243 0.318
0.901 0.252 0.560
0.401 0.748 0.940
0.431 0.743 0.182
0.931 0.757 0.182
0.599 0.252 0.060
0.599 0.752 0.440
0.901 0.752 0.940
0.401 0.248 0.560
0.569 0.757 0.682
0.069 0.743 0.682
0.069 0.243 0.818
0.931 0.257 0.318
0.099 0.748 0.440
0.944 0.842 0.128
0.911 0.460 0.535
0.056 0.658 0.628
0.383 0.458 0.581
0.069 0.454 0.841
0.907 0.144 0.508
0.095 0.321 0.763
0.589 0.460 0.035
0.639 0.350 0.112
0.472 0.264 0.690
0.444 0.158 0.372
0.900 0.465 0.296
0.617 0.042 0.081
0.569 0.546 0.659
0.089 0.040 0.035
0.595 0.179 0.763
0.411 0.040 0.535
0.861 0.350 0.612
0.089 0.540 0.465
0.093 0.856 0.492
0.383 0.958 0.919
0.600 0.965 0.704
0.900 0.965 0.204
0.407 0.856 0.992
0.595 0.679 0.737
0.972 0.236 0.690
0.361 0.650 0.888
0.944 0.342 0.372
0.117 0.458 0.081
0.972 0.736 0.810
0.139 0.650 0.388
0.617 0.542 0.419
0.907 0.644 0.992
0.569 0.046 0.841
0.861 0.850 0.888
0.100 0.535 0.704
0.528 0.736 0.310
0.400 0.535 0.204
0.117 0.958 0.419
0.431 0.454 0.341
0.139 0.150 0.112
0.095 0.821 0.737
0.093 0.356 0.008
0.056 0.158 0.872
0.931 0.546 0.159
0.883 0.542 0.919
0.556 0.342 0.872
0.407 0.356 0.508
0.028 0.264 0.190
0.400 0.035 0.296
0.444 0.658 0.128
0.100 0.035 0.796
0.593 0.644 0.492
0.028 0.764 0.310
0.589 0.960 0.465
0.905 0.679 0.237
0.911 0.960 0.965
0.883 0.042 0.581
0.472 0.764 0.810
0.593 0.144 0.008
0.600 0.465 0.796
0.405 0.321 0.263
0.405 0.821 0.237
0.905 0.179 0.263
0.411 0.540 0.965
0.556 0.842 0.628
0.639 0.850 0.388
0.431 0.954 0.159
0.931 0.046 0.341
0.069 0.954 0.659
0.361 0.150 0.612
0.528 0.236 0.190
```

Results
calculated total energy	-5.334	eV per atom
energy of formation from the pure elements	-1.3031	eV per atom

---

6.
BiTe2Pb2AuS3: optimized geometry, PBE-GGA.

The structure in POSCAR format:
```
BiTe2Pb2AuS3
1.0
-4.181 0.000 0.000
0.000 0.000 -9.667
0.000 -12.299 0.000
Te S Au Pb Bi
4 6 2 4 2
Direct
0.750 0.992 0.395
0.250 0.008 0.895
0.750 0.992 0.104
0.250 0.008 0.604
0.750 0.390 0.916
0.750 0.383 0.575
0.750 0.364 0.260
0.250 0.636 0.760
0.250 0.617 0.075
0.250 0.610 0.416
0.250 0.997 0.250
0.750 0.003 0.750
0.750 0.681 0.579
0.750 0.654 0.251
0.250 0.346 0.751
0.250 0.319 0.079
0.250 0.335 0.422
0.750 0.665 0.922
```

Results
calculated total energy	-4.028	eV per atom
energy of formation from the pure elements	-0.4970	eV per atom

---

7.
PmBiAu2: optimized geometry, PBE-GGA.

The structure in POSCAR format:
```
PmBiAu2
1.0
3.959 1.701 2.841
-0.589 4.135 3.034
-0.080 -0.554 5.131
Au Pm Bi
2 1 1
Direct
0.250 0.250 0.250
0.750 0.750 0.750
0.000 0.000 0.000
0.500 0.500 0.500
```

Results
calculated total energy	-4.407	eV per atom
energy of formation from the pure elements	-0.6100	eV per atom

---

8.
Pr3Bi4Au3: optimized geometry, PBE-GGA.

The structure in POSCAR format:
```
Pr3Bi4Au3
1.0
7.715 3.089 3.419
-3.721 -5.802 5.765
1.631 -4.156 -7.798
Pr Bi Au
6 8 6
Direct
0.250 0.125 0.875
0.875 0.250 0.125
0.375 0.625 0.750
0.125 0.875 0.250
0.750 0.375 0.625
0.625 0.750 0.375
0.676 0.500 0.000
0.500 0.000 0.676
0.000 0.676 0.500
0.000 0.176 0.500
0.176 0.500 0.000
0.500 0.000 0.176
0.324 0.324 0.324
0.824 0.824 0.824
0.125 0.750 0.875
0.375 0.250 0.625
0.750 0.875 0.125
0.875 0.125 0.750
0.625 0.375 0.250
0.250 0.625 0.375
```

Results
calculated total energy	-4.712	eV per atom
energy of formation from the pure elements	-0.7400	eV per atom

---

9.
Pu2BiAu: optimized geometry, PBE-GGA.

The structure in POSCAR format:
```
Pu2BiAu
1.0
-0.049 -5.290 -0.797
-3.025 -2.092 -3.885
2.303 -2.069 -4.363
Pu Au Bi
2 1 1
Direct
0.250 0.250 0.250
0.750 0.750 0.750
0.500 0.500 0.500
0.000 0.000 0.000
```

Results
calculated total energy	-9.329	eV per atom
energy of formation from the pure elements	-0.4039	eV per atom

---

10.
Sm3Bi4Au3: optimized geometry, PBE-GGA.

The structure in POSCAR format:
```
Sm3Bi4Au3
1.0
-5.135 5.135 5.135
5.135 -5.135 5.135
5.135 5.135 -5.135
Sm Au Bi
6 6 8
Direct
0.875 0.250 0.125
0.125 0.875 0.250
0.750 0.375 0.625
0.375 0.625 0.750
0.250 0.125 0.875
0.625 0.750 0.375
0.250 0.625 0.375
0.125 0.750 0.875
0.750 0.875 0.125
0.625 0.375 0.250
0.375 0.250 0.625
0.875 0.125 0.750
0.000 0.177 0.500
0.500 0.000 0.677
0.823 0.823 0.823
0.500 0.000 0.177
0.323 0.323 0.323
0.177 0.500 0.000
0.000 0.677 0.500
0.677 0.500 0.000
```

Results
calculated total energy	-4.657	eV per atom
energy of formation from the pure elements	-0.7037	eV per atom

---

11.
SmBiAu2: optimized geometry, PBE-GGA.

The structure in POSCAR format:
```
SmBiAu2
1.0
0.000 3.640 3.640
3.640 0.000 3.640
3.640 3.640 0.000
Sm Au Bi
1 2 1
Direct
0.000 0.000 0.000
0.750 0.750 0.750
0.250 0.250 0.250
0.500 0.500 0.500
```

Results
calculated total energy	-4.393	eV per atom
energy of formation from the pure elements	-0.6037	eV per atom

---

12.
ThBiAu2: optimized geometry, PBE-GGA.

The structure in POSCAR format:
```
ThBiAu2
1.0
0.000 3.676 3.676
3.676 0.000 3.676
3.676 3.676 0.000
Au Th Bi
2 1 1
Direct
0.750 0.750 0.750
0.250 0.250 0.250
0.000 0.000 0.000
0.500 0.500 0.500
```

Results
calculated total energy	-5.007	eV per atom
energy of formation from the pure elements	-0.5440	eV per atom

---

> What is the energy of formation from the pure elements in the ninth record?

-0.4039 eV per atom

---

> Which value of calculated total energy does entry 2 give?

-3.160 eV per atom

---

> What is the formula in the second record?

Li2BiAu

---

> calculated total energy of number 4 (NaBi2AuO5)?

-5.156 eV per atom